Crystalline Rb3YI6 at its relaxed geometry, computed with PBE.

Properties
Raw total energy: -3.275 eV/atom
E_form: -1.647 eV/atom

abc: 13.0019 13.0019 13.0019
angles: 90.00 90.00 90.00
Last column: nearest neighbours and their distance in Å.
Space group Fm-3m (No. 225)
Asymmetric unit:
Rb  0.0000  0.0000  0.0000 (multiplicity 4)  6 I 3.48
Rb  0.2500  0.2500  0.2500 (multiplicity 8)  12 I 4.60
Y  0.0000  0.0000  0.5000 (multiplicity 4)  6 I 3.02
I  0.0000  0.0000  0.2674 (multiplicity 24)  1 Y 3.02